Record 1
First-principles (PBE-GGA) data for an optimized crystal structure of K3Ta2Cu3S8, as listed in the Materials Project.

abc: 12.213 12.213 14.467
angles: 119.51 119.51 26.39
Element x y z (fractional)
K1 0.000 0.000 0.000
K2 0.000 0.000 0.500
K3 0.271 0.347 0.906
K4 0.347 0.271 0.406
K5 0.653 0.729 0.594
K6 0.729 0.653 0.094
Ta1 0.156 0.592 0.220
Ta2 0.408 0.844 0.280
Ta3 0.592 0.156 0.720
Ta4 0.844 0.408 0.780
Cu1 0.095 0.659 0.718
Cu2 0.278 0.722 0.250
Cu3 0.341 0.905 0.782
Cu4 0.659 0.095 0.218
Cu5 0.722 0.278 0.750
Cu6 0.905 0.341 0.282
S1 0.042 0.139 0.873
S2 0.127 0.187 0.688
S3 0.139 0.042 0.373
S4 0.187 0.127 0.188
S5 0.260 0.320 0.610
S6 0.320 0.260 0.110
S7 0.442 0.479 0.839
S8 0.479 0.442 0.339
S9 0.521 0.558 0.661
S10 0.558 0.521 0.161
S11 0.680 0.740 0.890
S12 0.740 0.680 0.390
S13 0.813 0.873 0.812
S14 0.861 0.958 0.627
S15 0.873 0.813 0.312
S16 0.958 0.861 0.127

Output
space group	C2/c, No. 15
formation enthalpy at 0 K	-1229	meV/atom

Record 2
First-principles (PBE-GGA) data for an optimized crystal structure of KThCuS3, as listed in the Materials Project.

abc: 7.352 7.352 10.588
angles: 90.00 90.00 147.69
Element x y z (fractional)
K1 0.244 0.756 0.750
K2 0.756 0.244 0.250
Th1 0.500 0.500 0.000
Th2 0.500 0.500 0.500
Cu1 0.030 0.970 0.250
Cu2 0.970 0.030 0.750
S1 0.124 0.876 0.069
S2 0.124 0.876 0.431
S3 0.436 0.564 0.250
S4 0.564 0.436 0.750
S5 0.876 0.124 0.569
S6 0.876 0.124 0.931

Output
space group	Cmcm, No. 63
M_tot	0.00	μB per formula unit
formation enthalpy at 0 K	-1723	meV/atom

Record 3
First-principles (PBE-GGA) data for an optimized crystal structure of K2ThCu2S4, as listed in the Materials Project.

abc: 7.542 7.542 7.622
angles: 109.18 109.18 30.93
Element x y z (fractional)
K1 0.138 0.138 0.066
K2 0.862 0.862 0.934
Th1 0.000 0.000 0.500
Cu1 0.319 0.319 0.512
Cu2 0.681 0.681 0.488
S1 0.202 0.202 0.674
S2 0.478 0.478 0.738
S3 0.522 0.522 0.262
S4 0.798 0.798 0.326

Output
space group	C2/m, No. 12
M_tot	0.00	μB per formula unit
formation enthalpy at 0 K	-1446	meV/atom

Record 4
First-principles (PBE-GGA) data for an optimized crystal structure of K3Th2Cu3S7, as listed in the Materials Project.

abc: 7.416 7.416 24.759
angles: 90.00 90.00 148.16
Element x y z (fractional)
K1 0.046 0.954 0.562
K2 0.046 0.954 0.938
K3 0.431 0.569 0.250
K4 0.569 0.431 0.750
K5 0.954 0.046 0.062
K6 0.954 0.046 0.438
Th1 0.309 0.691 0.642
Th2 0.309 0.691 0.858
Th3 0.691 0.309 0.142
Th4 0.691 0.309 0.358
Cu1 0.159 0.841 0.250
Cu2 0.237 0.763 0.038
Cu3 0.237 0.763 0.462
Cu4 0.763 0.237 0.538
Cu5 0.763 0.237 0.962
Cu6 0.841 0.159 0.750
S1 0.067 0.933 0.173
S2 0.067 0.933 0.327
S3 0.249 0.751 0.750
S4 0.318 0.682 0.120
S5 0.318 0.682 0.380
S6 0.357 0.643 0.533
S7 0.357 0.643 0.967
S8 0.643 0.357 0.033
S9 0.643 0.357 0.467
S10 0.682 0.318 0.620
S11 0.682 0.318 0.880
S12 0.751 0.249 0.250
S13 0.933 0.067 0.673
S14 0.933 0.067 0.827

Output
space group	Cmcm, No. 63
M_tot	0.00	μB per formula unit
formation enthalpy at 0 K	-1556	meV/atom

Record 5
First-principles (PBE-GGA) data for an optimized crystal structure of KUCuS3, as listed in the Materials Project.

abc: 7.346 7.346 10.296
angles: 90.00 90.00 148.71
Element x y z (fractional)
K1 0.243 0.757 0.750
K2 0.757 0.243 0.250
U1 0.500 0.500 0.000
U2 0.500 0.500 0.500
Cu1 0.033 0.967 0.250
Cu2 0.967 0.033 0.750
S1 0.122 0.878 0.063
S2 0.122 0.878 0.437
S3 0.439 0.561 0.250
S4 0.561 0.439 0.750
S5 0.878 0.122 0.563
S6 0.878 0.122 0.937

Output
space group	Cmcm, No. 63
M_tot	2.00	μB per formula unit
formation enthalpy at 0 K	-1462	meV/atom

Record 6
First-principles (PBE-GGA) data for an optimized crystal structure of K6U2Cu12S15, as listed in the Materials Project.

abc: 16.246 16.246 16.246
angles: 109.47 109.47 109.47
Element x y z (fractional)
K1 0.092 0.184 0.842
K2 0.092 0.408 0.250
K3 0.158 0.750 0.342
K4 0.158 0.908 0.816
K5 0.184 0.842 0.092
K6 0.250 0.092 0.408
K7 0.250 0.658 0.842
K8 0.316 0.408 0.658
K9 0.342 0.158 0.750
K10 0.342 0.684 0.592
K11 0.408 0.250 0.092
K12 0.408 0.658 0.316
K13 0.592 0.342 0.684
K14 0.592 0.750 0.908
K15 0.658 0.316 0.408
K16 0.658 0.842 0.250
K17 0.684 0.592 0.342
K18 0.750 0.342 0.158
K19 0.750 0.908 0.592
K20 0.816 0.158 0.908
K21 0.842 0.092 0.184
K22 0.842 0.250 0.658
K23 0.908 0.592 0.750
K24 0.908 0.816 0.158
U1 0.000 0.000 0.000
U2 0.000 0.000 0.500
U3 0.000 0.500 0.000
U4 0.000 0.500 0.500
U5 0.500 0.000 0.000
U6 0.500 0.000 0.500
U7 0.500 0.500 0.000
U8 0.500 0.500 0.500
Cu1 0.067 0.151 0.432
Cu2 0.067 0.416 0.635
Cu3 0.068 0.219 0.635
Cu4 0.068 0.349 0.433
Cu5 0.084 0.151 0.219
Cu6 0.084 0.433 0.865
Cu7 0.135 0.719 0.568
Cu8 0.135 0.916 0.567
Cu9 0.151 0.219 0.084
Cu10 0.151 0.432 0.067
Cu11 0.219 0.084 0.151
Cu12 0.219 0.635 0.068
Cu13 0.281 0.349 0.416
Cu14 0.281 0.432 0.865
Cu15 0.349 0.416 0.281
Cu16 0.349 0.433 0.068
Cu17 0.365 0.932 0.781
Cu18 0.365 0.933 0.584
Cu19 0.416 0.281 0.349
Cu20 0.416 0.635 0.067
Cu21 0.432 0.067 0.151
Cu22 0.432 0.865 0.281
Cu23 0.433 0.068 0.349
Cu24 0.433 0.865 0.084
Cu25 0.567 0.135 0.916
Cu26 0.567 0.932 0.651
Cu27 0.568 0.135 0.719
Cu28 0.568 0.933 0.849
Cu29 0.584 0.365 0.933
Cu30 0.584 0.719 0.651
Cu31 0.635 0.067 0.416
Cu32 0.635 0.068 0.219
Cu33 0.651 0.567 0.932
Cu34 0.651 0.584 0.719
Cu35 0.719 0.568 0.135
Cu36 0.719 0.651 0.584
Cu37 0.781 0.365 0.932
Cu38 0.781 0.916 0.849
Cu39 0.849 0.568 0.933
Cu40 0.849 0.781 0.916
Cu41 0.865 0.084 0.433
Cu42 0.865 0.281 0.432
Cu43 0.916 0.567 0.135
Cu44 0.916 0.849 0.781
Cu45 0.932 0.651 0.567
Cu46 0.932 0.781 0.365
Cu47 0.933 0.584 0.365
Cu48 0.933 0.849 0.568
S1 0.008 0.173 0.091
S2 0.008 0.336 0.917
S3 0.081 0.673 0.664
S4 0.081 0.909 0.417
S5 0.083 0.591 0.419
S6 0.083 0.992 0.664
S7 0.091 0.008 0.173
S8 0.091 0.583 0.919
S9 0.125 0.250 0.375
S10 0.125 0.375 0.750
S11 0.164 0.173 0.581
S12 0.164 0.492 0.583
S13 0.173 0.091 0.008
S14 0.173 0.581 0.164
S15 0.250 0.375 0.125
S16 0.250 0.875 0.625
S17 0.327 0.336 0.919
S18 0.327 0.492 0.409
S19 0.336 0.917 0.008
S20 0.336 0.919 0.327
S21 0.375 0.125 0.250
S22 0.375 0.750 0.125
S23 0.409 0.327 0.492
S24 0.409 0.581 0.917
S25 0.417 0.081 0.909
S26 0.417 0.836 0.508
S27 0.419 0.083 0.591
S28 0.419 0.836 0.827
S29 0.492 0.409 0.327
S30 0.492 0.583 0.164
S31 0.508 0.417 0.836
S32 0.508 0.591 0.673
S33 0.581 0.164 0.173
S34 0.581 0.917 0.409
S35 0.583 0.164 0.492
S36 0.583 0.919 0.091
S37 0.591 0.419 0.083
S38 0.591 0.673 0.508
S39 0.625 0.250 0.875
S40 0.625 0.875 0.750
S41 0.664 0.081 0.673
S42 0.664 0.083 0.992
S43 0.673 0.508 0.591
S44 0.673 0.664 0.081
S45 0.750 0.125 0.375
S46 0.750 0.625 0.875
S47 0.827 0.419 0.836
S48 0.827 0.909 0.992
S49 0.836 0.508 0.417
S50 0.836 0.827 0.419
S51 0.875 0.625 0.250
S52 0.875 0.750 0.625
S53 0.909 0.417 0.081
S54 0.909 0.992 0.827
S55 0.917 0.008 0.336
S56 0.917 0.409 0.581
S57 0.919 0.091 0.583
S58 0.919 0.327 0.336
S59 0.992 0.664 0.083
S60 0.992 0.827 0.909

Output
space group	Ia-3d, No. 230
M_tot	0.00	μB per formula unit
formation enthalpy at 0 K	-1048	meV/atom

Among the records above, which one has the lowest formation enthalpy at 0 K?
KThCuS3

formation enthalpy at 0 K of number 5 (KUCuS3)?
-1462 meV/atom